The following is a PBE+U calculation of an optimized crystal structure of Li3Fe4SbO8, from Materials Project.

Unit cell a=6.0794 b=6.0794 c=6.2825 alpha=120.11 beta=120.11 gamma=62.39
With the nearest neighbours (Å) after each atom.
Fractional coordinates of all 16 atoms:
Li  0.0000  0.0000  0.0000  6 O 2.20-2.41
Li  0.0000  0.5000  0.5000  4 O 2.06-2.25
Li  0.5000  0.0000  0.5000  4 O 2.06-2.25
Fe  0.0000  0.0000  0.5000  6 O 2.11-2.24
Fe  0.0000  0.5000  0.0000  6 O 2.13-2.20
Fe  0.5000  0.0000  0.0000  6 O 2.13-2.20
Fe  0.5000  0.5000  0.0000  6 O 2.11-2.23
Sb  0.5000  0.5000  0.5000  6 O 2.02-2.04
O  0.2492  0.2492  0.7713  4 Fe 2.11-2.13, 2 Li 2.32
O  0.2608  0.2608  0.2541  1 Sb 2.02, 3 Li 2.20-2.25, 2 Fe 2.20
O  0.2647  0.7225  0.7238  1 Sb 2.04, 1 Li 2.06, 3 Fe 2.17-2.24
O  0.2775  0.7353  0.2762  1 Sb 2.04, 1 Li 2.06, 3 Fe 2.17-2.24
O  0.7225  0.2647  0.7238  1 Sb 2.04, 1 Li 2.06, 3 Fe 2.17-2.24
O  0.7353  0.2775  0.2762  1 Sb 2.04, 1 Li 2.06, 3 Fe 2.17-2.24
O  0.7392  0.7392  0.7459  1 Sb 2.02, 3 Li 2.20-2.25, 2 Fe 2.20
O  0.7508  0.7508  0.2287  4 Fe 2.11-2.13, 2 Li 2.32

Summary:
VASP energy in eV per atom: -6.150
ΔE_f in kJ per mole of atoms: -178.5

***

The following is a PBE+U calculation of an optimized crystal structure of MnSb4O12, from Materials Project.

Unit cell a=5.0828 b=5.5035 c=7.5511 alpha=95.26 beta=90.73 gamma=90.86
With the nearest neighbours (Å) after each atom.
Fractional coordinates of all 17 atoms:
Mn  0.0000  0.0000  0.0000  6 O 1.89-1.98
Sb  0.0001  0.3865  0.3201  6 O 1.94-2.14
Sb  0.4950  0.8584  0.7853  6 O 1.92-2.12
Sb  0.5072  0.8632  0.3099  6 O 1.95-2.16
Sb  0.9878  0.3932  0.7889  5 O 1.91-2.09
O  0.1533  0.3785  0.5619  2 Sb 1.91-1.98
O  0.1712  0.7038  0.8906  1 Mn 1.98, 2 Sb 2.02-2.04
O  0.1741  0.0499  0.2253  1 Mn 1.90, 1 Sb 2.12
O  0.2848  0.1600  0.8852  1 Mn 1.94, 2 Sb 2.08-2.16
O  0.3133  0.5562  0.2323  2 Sb 1.98-1.99
O  0.3539  0.8859  0.5515  2 Sb 1.92-1.99
O  0.6519  0.5350  0.7363  2 Sb 1.94-1.97
O  0.6604  0.8582  0.0443  1 Mn 1.93, 2 Sb 2.12-2.16
O  0.6859  0.1842  0.3693  2 Sb 1.99
O  0.8235  0.6934  0.3750  2 Sb 1.94-1.95
O  0.8365  0.0404  0.7671  1 Mn 1.97, 2 Sb 2.00-2.07
O  0.8842  0.3244  0.0468  1 Mn 1.89, 1 Sb 2.09

Summary:
VASP energy in eV per atom: -6.149
ΔE_f in kJ per mole of atoms: -166.8

***

The following is a PBE+U calculation of an optimized crystal structure of U2Co3O8, from Materials Project.

Unit cell a=5.1587 b=10.3985 c=6.1434 alpha=90.00 beta=90.00 gamma=90.00
With the nearest neighbours (Å) after each atom.
Fractional coordinates of all 26 atoms:
U  0.0422  0.2334  0.0000  2 O 2.01-2.11
U  0.4578  0.7334  0.5000  2 O 2.01-2.11
U  0.5422  0.2666  0.5000  2 O 2.01-2.11
U  0.9578  0.7666  0.0000  2 O 2.01-2.11
Co  0.0000  0.0000  0.5000  2 O 1.93
Co  0.0000  0.5000  0.2623  6 O 2.01-2.19
Co  0.0000  0.5000  0.7377  6 O 2.01-2.19
Co  0.5000  0.0000  0.2377  6 O 2.01-2.19
Co  0.5000  0.0000  0.7623  6 O 2.01-2.19
Co  0.5000  0.5000  0.0000  2 O 1.93
O  0.1818  0.5973  0.0000  3 Co 1.93-2.12, 1 U 2.11
O  0.2023  0.5880  0.5000  1 U 2.01, 2 Co 2.01
O  0.2057  0.8491  0.2672  2 Co 2.19-2.37, 2 U 2.25-2.28
O  0.2057  0.8491  0.7328  2 Co 2.19-2.37, 2 U 2.25-2.28
O  0.2943  0.3491  0.2328  2 Co 2.19-2.37, 2 U 2.25-2.28
O  0.2943  0.3491  0.7672  2 Co 2.19-2.37, 2 U 2.25-2.28
O  0.2977  0.0880  0.0000  1 U 2.01, 2 Co 2.01
O  0.3182  0.0973  0.5000  3 Co 1.93-2.12, 1 U 2.11
O  0.6818  0.9027  0.5000  3 Co 1.93-2.12, 1 U 2.11
O  0.7023  0.9120  0.0000  1 U 2.01, 2 Co 2.01
O  0.7057  0.6509  0.2328  2 Co 2.19-2.37, 2 U 2.25-2.28
O  0.7057  0.6509  0.7672  2 Co 2.19-2.37, 2 U 2.25-2.28
O  0.7943  0.1509  0.2672  2 Co 2.19-2.37, 2 U 2.25-2.28
O  0.7943  0.1509  0.7328  2 Co 2.19-2.37, 2 U 2.25-2.28
O  0.7977  0.4120  0.5000  1 U 2.01, 2 Co 2.01
O  0.8182  0.4027  0.0000  3 Co 1.93-2.12, 1 U 2.11

Summary:
VASP energy in eV per atom: -8.160
ΔE_f in kJ per mole of atoms: -244.9
Energy above the lowest structure with this stoichiometry in eV per formula unit: 0.00

***

The following is a PBE+U calculation of an optimized crystal structure of MgCo5NiO12, from Materials Project.

Unit cell a=4.8790 b=4.8848 c=9.9940 alpha=89.62 beta=89.98 gamma=60.12
With the nearest neighbours (Å) after each atom.
Fractional coordinates of all 19 atoms:
Mg  0.0000  0.0000  0.0000  4 O 2.03-2.05
Co  0.0029  0.1741  0.2575  6 O 1.88-1.93
Co  0.3357  0.5044  0.2524  6 O 1.86-1.95
Co  0.5032  0.1710  0.7471  6 O 1.89-1.96
Co  0.6698  0.8374  0.2523  6 O 1.86-1.95
Co  0.8354  0.5040  0.7444  6 O 1.85-1.96
Ni  0.1728  0.8340  0.7406  6 O 1.87-1.90
O  0.0020  0.5087  0.1531  3 Co 1.90-1.93
O  0.0035  0.8296  0.3466  3 Co 1.87-1.90
O  0.1618  0.1612  0.8468  1 Ni 1.90, 2 Co 1.93-1.96, 1 Mg 2.05
O  0.1675  0.5020  0.6512  2 Co 1.86-1.89, 1 Ni 1.87
O  0.3259  0.8424  0.1510  3 Co 1.91-1.95, 1 Mg 2.04
O  0.3441  0.1706  0.3467  3 Co 1.86-1.88
O  0.5013  0.5082  0.8436  1 Ni 1.90, 2 Co 1.90-1.91
O  0.5083  0.8351  0.6513  2 Co 1.85-1.89, 1 Ni 1.87
O  0.6638  0.5108  0.3466  3 Co 1.86-1.88
O  0.6772  0.1676  0.1508  3 Co 1.92-1.95, 1 Mg 2.04
O  0.8331  0.1771  0.6510  2 Co 1.86-1.89, 1 Ni 1.89
O  0.8480  0.8379  0.8464  1 Ni 1.90, 2 Co 1.93-1.96, 1 Mg 2.03

Summary:
VASP energy in eV per atom: -5.611
ΔE_f in kJ per mole of atoms: -118.3
Energy above the lowest structure with this stoichiometry in eV per formula unit: 0.04

***

The following is a PBE+U calculation of an optimized crystal structure of V3O8, from Materials Project.

Unit cell a=10.1817 b=10.1817 c=5.0652 alpha=98.73 beta=98.73 gamma=20.53
With the nearest neighbours (Å) after each atom.
Fractional coordinates of all 11 atoms:
V  0.0000  0.0000  0.0000  4 O 1.93-2.10
V  0.1912  0.1912  0.8761  1 O 1.60
V  0.8088  0.8088  0.1239  1 O 1.60
O  0.0477  0.0477  0.6974  1 O 1.46
O  0.1004  0.1004  0.9303  1 O 1.46
O  0.1822  0.1822  0.5560  1 V 1.60
O  0.2909  0.2909  0.0066  3 V 1.93-2.01
O  0.7091  0.7091  0.9934  3 V 1.93-2.01
O  0.8178  0.8178  0.4440  1 V 1.60
O  0.8996  0.8996  0.0697  1 O 1.46
O  0.9523  0.9523  0.3026  1 O 1.46

Summary:
VASP energy in eV per atom: -6.756
ΔE_f in kJ per mole of atoms: -121.6
Energy above the lowest structure with this stoichiometry in eV per formula unit: 8.76

***

The following is a PBE+U calculation of an optimized crystal structure of InNi2SbO6, from Materials Project.

Unit cell a=5.6432 b=5.6432 c=5.6432 alpha=55.86 beta=55.86 gamma=55.86
With the nearest neighbours (Å) after each atom.
Fractional coordinates of all 10 atoms:
In  0.0000  0.0000  0.0000  6 O 2.13-2.29
Ni  0.2875  0.2875  0.2875  6 O 2.08-2.16
Ni  0.7927  0.7927  0.7927  6 O 2.05-2.15
Sb  0.4903  0.4903  0.4903  6 O 2.00-2.06
O  0.0965  0.6772  0.4094  2 Ni 2.05-2.16, 1 Sb 2.06, 1 In 2.13
O  0.2072  0.5808  0.8782  1 Sb 2.00, 2 Ni 2.08-2.15
O  0.4094  0.0965  0.6772  2 Ni 2.05-2.16, 1 Sb 2.06, 1 In 2.13
O  0.5808  0.8782  0.2072  1 Sb 2.00, 2 Ni 2.08-2.15
O  0.6772  0.4094  0.0965  2 Ni 2.05-2.16, 1 Sb 2.06, 1 In 2.13
O  0.8782  0.2072  0.5808  1 Sb 2.00, 2 Ni 2.08-2.15

Summary:
VASP energy in eV per atom: -5.573
Largest piezoelectric modulus in C/m²: 0.55
ΔE_f in kJ per mole of atoms: -162.2

***

The following is a PBE+U calculation of an optimized crystal structure of Li2Ti4VO8, from Materials Project.

Unit cell a=5.9355 b=5.9355 c=5.9273 alpha=119.90 beta=119.90 gamma=59.26
With the nearest neighbours (Å) after each atom.
Fractional coordinates of all 15 atoms:
Li  0.0000  0.5000  0.0000  6 O 2.06-2.18
Li  0.5000  0.0000  0.0000  6 O 2.06-2.18
Ti  0.0000  0.0000  0.0000  6 O 2.09-2.11
Ti  0.0000  0.5000  0.5000  6 O 2.00-2.11
Ti  0.5000  0.0000  0.5000  6 O 2.00-2.11
Ti  0.5000  0.5000  0.5000  6 O 2.08-2.12
V  0.5000  0.5000  0.0000  6 O 2.07-2.08
O  0.2496  0.2496  0.2440  2 Li 2.06, 4 Ti 2.11-2.12
O  0.2496  0.7477  0.7490  1 V 2.08, 3 Ti 2.08-2.10, 1 Li 2.12
O  0.2523  0.7504  0.2510  1 V 2.08, 3 Ti 2.08-2.10, 1 Li 2.12
O  0.2557  0.2557  0.7341  2 Ti 2.00, 1 V 2.07, 2 Li 2.18
O  0.7443  0.7443  0.2659  2 Ti 2.00, 1 V 2.07, 2 Li 2.18
O  0.7477  0.2496  0.7490  1 V 2.08, 3 Ti 2.08-2.10, 1 Li 2.12
O  0.7504  0.2523  0.2510  1 V 2.08, 3 Ti 2.08-2.10, 1 Li 2.12
O  0.7504  0.7504  0.7560  2 Li 2.06, 4 Ti 2.11-2.12

Summary:
VASP energy in eV per atom: -8.050
ΔE_f in kJ per mole of atoms: -282.3

***

The following is a PBE+U calculation of an optimized crystal structure of MgCrSbO4, from Materials Project.

Unit cell a=5.8353 b=5.8353 c=5.8353 alpha=139.39 beta=135.41 gamma=61.88
With the nearest neighbours (Å) after each atom.
Fractional coordinates of all 7 atoms:
Mg  0.0000  0.0000  0.0000  5 O 2.13-2.24
Cr  0.5658  0.5658  0.0000  6 O 2.00-2.21
Sb  0.2972  0.7972  0.5000  6 O 2.14-2.39
O  0.0653  0.5653  0.5000  2 Mg 2.13, 2 Cr 2.21, 1 Sb 2.32
O  0.3661  0.3661  0.0000  1 Cr 2.00, 2 Sb 2.14
O  0.5355  0.0355  0.5000  2 Cr 2.05, 2 Mg 2.24
O  0.7863  0.7863  0.0000  1 Mg 2.14, 1 Cr 2.21, 2 Sb 2.22

Summary:
VASP energy in eV per atom: -6.353
ΔE_f in kJ per mole of atoms: -193.6
Energy above the lowest structure with this stoichiometry in eV per formula unit: 0.85